The following is a DFT calculation (r²SCAN) of a relaxed structure of NdLuSe3.

Unit cell a=6.829 b=6.829 c=9.917 alpha=90.00 beta=90.00 gamma=145.83
Element x y z (fractional)
Se  0.086  0.914  0.250
Se  0.643  0.357  0.562
Lu  0.000  0.000  0.000
Nd  0.252  0.748  0.750
Se  0.357  0.643  0.438
Se  0.357  0.643  0.062
Lu  0.000  0.000  0.500
Se  0.914  0.086  0.750
Nd  0.748  0.252  0.250
Se  0.643  0.357  0.938

- VASP energy (eV for the cell shown) = -242.736
- space group = Cmcm, No. 63



The following is a DFT calculation (r²SCAN) of a relaxed structure of ThZnRh2.

Unit cell a=4.681 b=4.681 c=4.681 alpha=60.00 beta=60.00 gamma=60.00
Element x y z (fractional)
Rh  0.500  0.500  0.500
Zn  0.750  0.750  0.750
Rh  0.000  0.000  0.000
Th  0.250  0.250  0.250

- VASP energy (eV for the cell shown) = -133.420
- space group = Fm-3m, No. 225



The following is a DFT calculation (r²SCAN) of a relaxed structure of Ba.

Unit cell a=4.310 b=4.313 c=3.913 alpha=90.00 beta=90.00 gamma=119.98
Element x y z (fractional)
Ba  0.000  0.000  0.000

- VASP energy (eV for the cell shown) = -26.283
- space group = P6/mmm, No. 191



It is found that the energy of formation from the pure elements values, taken in the order of the records, are -2.19; -0.69; 0.22 eV/atom.